No. 1
# ZnFe8O12 | the Materials Project database | PBE+U | optimized geometry
# Energy of formation: -1627 meV per atom
# Calculated total energy: -817.636 eV per cell
# Energy with MP2020 corrections: -975.39 eV/cell
data_ZnFe8O12
_chemical_formula_sum 'Zn6 Fe48 O72'
_space_group_name_H-M_alt 'P 1'
_space_group_IT_number 1
_cell_length_a 6.0791
_cell_length_b 6.0792
_cell_length_c 44.5220
_cell_angle_alpha 90.01
_cell_angle_beta 90.02
_cell_angle_gamma 119.93
loop_
_space_group_symop_operation_xyz
'x,y,z'
loop_
_atom_site_label
_atom_site_type_symbol
_atom_site_fract_x
_atom_site_fract_y
_atom_site_fract_z
Zn1 Zn 0.0000 0.0000 0.0000
Zn2 Zn 0.0011 0.0014 0.9198
Zn3 Zn 0.0034 0.0000 0.6676
Zn4 Zn 0.3342 0.6674 0.7794
Zn5 Zn 0.3361 0.6714 0.1129
Zn6 Zn 0.6679 0.3335 0.8913
Fe1 Fe 0.0012 0.0016 0.7930
Fe2 Fe 0.0013 0.0044 0.5861
Fe3 Fe 0.0009 0.5007 0.2940
Fe4 Fe 0.0019 0.0036 0.1264
Fe5 Fe 0.0022 0.5034 0.6273
Fe6 Fe 0.0028 0.5028 0.9594
Fe7 Fe 0.0061 0.0013 0.3350
Fe8 Fe 0.1680 0.3338 0.1828
Fe9 Fe 0.1676 0.8344 0.5162
Fe10 Fe 0.1688 0.3363 0.5163
Fe11 Fe 0.1692 0.8315 0.1829
Fe12 Fe 0.1707 0.3389 0.8500
Fe13 Fe 0.1706 0.8328 0.8501
Fe14 Fe 0.3289 0.6672 0.3631
Fe15 Fe 0.3310 0.6667 0.6955
Fe16 Fe 0.3328 0.1663 0.7378
Fe17 Fe 0.3331 0.6674 0.4463
Fe18 Fe 0.3335 0.1685 0.0709
Fe19 Fe 0.3338 0.6651 0.2380
Fe20 Fe 0.3363 0.6707 0.0291
Fe21 Fe 0.3370 0.6712 0.9050
Fe22 Fe 0.3382 0.6666 0.5719
Fe23 Fe 0.3385 0.1706 0.4036
Fe24 Fe 0.4990 0.5019 0.9595
Fe25 Fe 0.4999 0.0005 0.9601
Fe26 Fe 0.5010 0.0003 0.2936
Fe27 Fe 0.5007 0.0007 0.6273
Fe28 Fe 0.5023 0.5022 0.2933
Fe29 Fe 0.5031 0.5022 0.6267
Fe30 Fe 0.6626 0.8313 0.1831
Fe31 Fe 0.6633 0.8321 0.8502
Fe32 Fe 0.6649 0.3312 0.5576
Fe33 Fe 0.6659 0.3316 0.1410
Fe34 Fe 0.6656 0.3369 0.6820
Fe35 Fe 0.6669 0.3330 0.0150
Fe36 Fe 0.6674 0.8342 0.5159
Fe37 Fe 0.6678 0.3349 0.8084
Fe38 Fe 0.6681 0.3369 0.3495
Fe39 Fe 0.6685 0.3351 0.4740
Fe40 Fe 0.6714 0.3376 0.2244
Fe41 Fe 0.8338 0.1665 0.7378
Fe42 Fe 0.8344 0.1682 0.4045
Fe43 Fe 0.8344 0.6683 0.4045
Fe44 Fe 0.8349 0.6694 0.7378
Fe45 Fe 0.8359 0.6703 0.0707
Fe46 Fe 0.8368 0.1682 0.0708
Fe47 Fe 0.9989 0.0010 0.2527
Fe48 Fe 0.9995 0.0008 0.4594
O1 O 0.0006 0.0013 0.7138
O2 O 0.0021 0.0021 0.0468
O3 O 0.0016 0.0016 0.8728
O4 O 0.0103 0.5069 0.5411
O5 O 0.0105 0.0054 0.3783
O6 O 0.0112 0.5172 0.2091
O7 O 0.0135 0.0076 0.5415
O8 O 0.0232 0.5118 0.8743
O9 O 0.1524 0.8489 0.0979
O10 O 0.1533 0.3055 0.7647
O11 O 0.1535 0.8490 0.7647
O12 O 0.1541 0.3075 0.0983
O13 O 0.1598 0.3462 0.5998
O14 O 0.1626 0.3442 0.2662
O15 O 0.1697 0.3161 0.4329
O16 O 0.1697 0.8553 0.4329
O17 O 0.1724 0.8300 0.6012
O18 O 0.1755 0.8280 0.2671
O19 O 0.1770 0.3541 0.9353
O20 O 0.1789 0.8270 0.9354
O21 O 0.3116 0.1561 0.4892
O22 O 0.3129 0.1572 0.8213
O23 O 0.3159 0.1491 0.1545
O24 O 0.3210 0.6614 0.4902
O25 O 0.3285 0.6749 0.3188
O26 O 0.3332 0.6725 0.6502
O27 O 0.3339 0.6673 0.8245
O28 O 0.3340 0.6683 0.9841
O29 O 0.3393 0.6773 0.1583
O30 O 0.3499 0.1679 0.3196
O31 O 0.3632 0.1815 0.9874
O32 O 0.3637 0.1710 0.6545
O33 O 0.4863 0.9892 0.5421
O34 O 0.4884 0.4947 0.5419
O35 O 0.4915 0.4880 0.3783
O36 O 0.4923 0.5095 0.8737
O37 O 0.4932 0.0074 0.3785
O38 O 0.4931 0.9849 0.8734
O39 O 0.4959 0.9919 0.2083
O40 O 0.5090 0.5168 0.2095
O41 O 0.5151 0.4856 0.7126
O42 O 0.5170 0.0326 0.0461
O43 O 0.5175 0.4851 0.0458
O44 O 0.5176 0.0340 0.7124
O45 O 0.6458 0.8255 0.9349
O46 O 0.6550 0.8369 0.2664
O47 O 0.6585 0.3311 0.4315
O48 O 0.6611 0.8442 0.6001
O49 O 0.6663 0.3333 0.9359
O50 O 0.6671 0.3345 0.7646
O51 O 0.6675 0.3352 0.0975
O52 O 0.6722 0.3325 0.6010
O53 O 0.6749 0.3276 0.2677
O54 O 0.6830 0.8430 0.4342
O55 O 0.6963 0.8488 0.7647
O56 O 0.6973 0.8490 0.0979
O57 O 0.8169 0.6359 0.9874
O58 O 0.8178 0.1810 0.9873
O59 O 0.8212 0.1826 0.6538
O60 O 0.8287 0.1720 0.3189
O61 O 0.8328 0.1481 0.1544
O62 O 0.8344 0.6394 0.6549
O63 O 0.8405 0.6607 0.3196
O64 O 0.8452 0.6895 0.1554
O65 O 0.8460 0.1580 0.8213
O66 O 0.8460 0.6897 0.8213
O67 O 0.8534 0.6878 0.4880
O68 O 0.8546 0.1689 0.4879
O69 O 0.9690 0.4841 0.7129
O70 O 0.9688 0.4849 0.0455
O71 O 0.9889 0.4940 0.3770
O72 O 0.9968 0.9922 0.2080



No. 2
# ZnFeO2 | the Materials Project database | PBE+U | optimized geometry
# Energy of formation: -1380 meV per atom
# Calculated total energy: -86.070 eV per cell
# Energy with MP2020 corrections: -100.59 eV/cell
data_ZnFeO2
_chemical_formula_sum 'Zn4 Fe4 O8'
_space_group_name_H-M_alt 'P 1'
_space_group_IT_number 1
_cell_length_a 3.0233
_cell_length_b 7.8163
_cell_length_c 8.1137
_cell_angle_alpha 100.20
_cell_angle_beta 100.47
_cell_angle_gamma 97.87
loop_
_space_group_symop_operation_xyz
'x,y,z'
loop_
_atom_site_label
_atom_site_type_symbol
_atom_site_fract_x
_atom_site_fract_y
_atom_site_fract_z
Zn1 Zn 0.0000 0.0000 0.0000
Zn2 Zn 0.0961 0.2729 0.2071
Zn3 Zn 0.5979 0.2942 0.9003
Zn4 Zn 0.7268 0.9914 0.3309
Fe1 Fe 0.3313 0.9300 0.6635
Fe2 Fe 0.5245 0.6305 0.2920
Fe3 Fe 0.8434 0.6420 0.9383
Fe4 Fe 0.9911 0.3534 0.5711
O1 O 0.0032 0.4884 0.3612
O2 O 0.0275 0.7870 0.1992
O3 O 0.3175 0.4718 0.0526
O4 O 0.3487 0.1647 0.4241
O5 O 0.3793 0.8304 0.8712
O6 O 0.6040 0.4494 0.7292
O7 O 0.7175 0.8268 0.5109
O8 O 0.9636 0.1082 0.7681



No. 3
# ZnFe4O8 | the Materials Project database | PBE+U | optimized geometry
# Energy of formation: -1373 meV per atom
# Calculated total energy: -234.173 eV per cell
# Energy with MP2020 corrections: -277.73 eV/cell
data_ZnFe4O8
_chemical_formula_sum 'Zn3 Fe12 O24'
_space_group_name_H-M_alt 'R -3 m'
_space_group_IT_number 166
_space_group_name_Hall '-R 3 2"'
_cell_length_a 5.8818
_cell_length_b 5.8818
_cell_length_c 14.9846
_cell_angle_alpha 90.00
_cell_angle_beta 90.00
_cell_angle_gamma 120.00
loop_
_atom_site_label
_atom_site_type_symbol
_atom_site_fract_x
_atom_site_fract_y
_atom_site_fract_z
Zn1 Zn 0.0000 0.0000 0.0000
Fe1 Fe 0.0000 0.0000 0.5000
Fe2 Fe 0.0000 0.5000 0.5000
O1 O 0.0000 0.0000 0.2327
O2 O 0.0165 0.5082 0.7642



No. 4
# Zn2Fe3O8 | the Materials Project database | PBE+U | optimized geometry
# Energy of formation: -1428 meV per atom
# Calculated total energy: -147.627 eV per cell
# Energy with MP2020 corrections: -172.15 eV/cell
data_Zn2Fe3O8
_chemical_formula_sum 'Zn4 Fe6 O16'
_space_group_name_H-M_alt 'P 63 m c'
_space_group_IT_number 186
_space_group_name_Hall 'P 6c -2c'
_cell_length_a 5.9445
_cell_length_b 5.9445
_cell_length_c 9.4406
_cell_angle_alpha 90.00
_cell_angle_beta 90.00
_cell_angle_gamma 120.00
loop_
_atom_site_label
_atom_site_type_symbol
_atom_site_fract_x
_atom_site_fract_y
_atom_site_fract_z
Zn1 Zn 0.3333 0.6667 0.0000
Zn2 Zn 0.3333 0.6667 0.3919
Fe1 Fe 0.1641 0.3281 0.7147
O1 O 0.0000 0.0000 0.3234
O2 O 0.0378 0.5189 0.8397
O3 O 0.1648 0.3296 0.1137
O4 O 0.3333 0.6667 0.6042